Crystalline NaCePCO7 at its relaxed geometry. Source: the Materials Project database, functional PBE.

Magnetic moment   0.00 μB/cell
DFT formation energy   -2.735 eV/atom
VASP energy   -81.81 eV per formula unit
Space-group type   P2_1 (4)

```
NaCePCO7
1.0
5.4613 0.0000 0.0000
0.0000 7.0438 0.0000
-0.3282 0.0000 9.6236
Na Ce P C O
2 2 2 2 14
Direct
0.2400 0.0000 0.2913
0.7600 0.5000 0.7087
0.2182 0.2106 0.8462
0.7818 0.7106 0.1538
0.2798 0.7163 0.9253
0.7202 0.2163 0.0747
0.2768 0.2467 0.5670
0.7232 0.7467 0.4330
0.0586 0.2476 0.6253
0.1680 0.7362 0.0720
0.1759 0.5381 0.8507
0.2183 0.8942 0.8371
0.3089 0.2245 0.4421
0.4369 0.1963 0.0515
0.4595 0.2651 0.6627
0.5405 0.7651 0.3372
0.5631 0.6963 0.9485
0.6911 0.7245 0.5579
0.7817 0.3942 0.1629
0.8241 0.0381 0.1493
0.8320 0.2362 0.9280
0.9414 0.7476 0.3747
```